Record 1
Below is LiTiP2O7 after structural relaxation, with properties calculated at the PBE-GGA level.

Properties
Calculated total energy ... -326.24 eV per cell
E above lowest polymorph ... 0.82 kcal/mol of atoms
ΔH_f (0 K) ... -2.8274 eV per atom

Cell: 8.679 5.180 13.484 Å, 90.00 117.15 90.00°
Atoms (fractional coordinates):
1 Li 0.059 0.238 0.195
2 Li 0.059 0.262 0.695
3 Li 0.941 0.738 0.305
4 Li 0.941 0.762 0.805
5 Ti 0.236 0.235 0.971
6 Ti 0.236 0.265 0.471
7 Ti 0.764 0.735 0.529
8 Ti 0.764 0.765 0.029
9 P 0.183 0.720 0.116
10 P 0.183 0.780 0.616
11 P 0.328 0.741 0.352
12 P 0.328 0.759 0.852
13 P 0.672 0.241 0.148
14 P 0.672 0.259 0.648
15 P 0.817 0.220 0.384
16 P 0.817 0.280 0.884
17 O 0.022 0.707 0.631
18 O 0.022 0.793 0.131
19 O 0.184 0.070 0.592
20 O 0.184 0.430 0.092
21 O 0.209 0.607 0.535
22 O 0.209 0.893 0.035
23 O 0.212 0.545 0.861
24 O 0.212 0.955 0.361
25 O 0.243 0.025 0.840
26 O 0.243 0.475 0.340
27 O 0.342 0.717 0.737
28 O 0.342 0.783 0.237
29 O 0.486 0.242 0.557
30 O 0.486 0.258 0.057
31 O 0.514 0.742 0.943
32 O 0.514 0.758 0.443
33 O 0.658 0.217 0.763
34 O 0.658 0.283 0.263
35 O 0.757 0.525 0.660
36 O 0.757 0.975 0.160
37 O 0.788 0.045 0.639
38 O 0.788 0.455 0.139
39 O 0.791 0.107 0.965
40 O 0.791 0.393 0.465
41 O 0.816 0.570 0.908
42 O 0.816 0.930 0.408
43 O 0.978 0.207 0.869
44 O 0.978 0.293 0.369

---

Record 2
Below is LiTi2P3O12 after structural relaxation, with properties calculated at the PBE-GGA level.

Properties
Calculated total energy ... -557.55 eV per cell
E above lowest polymorph ... 0.02 kcal/mol of atoms
ΔH_f (0 K) ... -3.0176 eV per atom

Cell: 8.609 8.702 14.731 Å, 90.00 125.09 90.00°
Atoms (fractional coordinates):
1 Li 0.026 0.220 0.321
2 Li 0.026 0.280 0.821
3 Li 0.974 0.720 0.179
4 Li 0.974 0.780 0.679
5 Ti 0.144 0.540 0.390
6 Ti 0.144 0.960 0.890
7 Ti 0.370 0.528 0.120
8 Ti 0.370 0.972 0.620
9 Ti 0.630 0.028 0.380
10 Ti 0.630 0.472 0.880
11 Ti 0.856 0.040 0.110
12 Ti 0.856 0.460 0.610
13 P 0.035 0.106 0.644
14 P 0.035 0.394 0.144
15 P 0.251 0.618 0.647
16 P 0.251 0.882 0.147
17 P 0.461 0.249 0.493
18 P 0.461 0.251 0.993
19 P 0.539 0.749 0.007
20 P 0.539 0.751 0.507
21 P 0.749 0.118 0.853
22 P 0.749 0.382 0.353
23 P 0.965 0.606 0.856
24 P 0.965 0.894 0.356
25 O 0.008 0.231 0.178
26 O 0.008 0.269 0.678
27 O 0.069 0.511 0.233
28 O 0.069 0.989 0.733
29 O 0.085 0.590 0.659
30 O 0.085 0.910 0.159
31 O 0.146 0.558 0.967
32 O 0.146 0.942 0.467
33 O 0.184 0.576 0.527
34 O 0.184 0.924 0.027
35 O 0.209 0.108 0.639
36 O 0.209 0.392 0.139
37 O 0.268 0.164 0.928
38 O 0.268 0.336 0.428
39 O 0.298 0.709 0.168
40 O 0.298 0.791 0.668
41 O 0.375 0.636 0.434
42 O 0.375 0.864 0.934
43 O 0.419 0.514 0.728
44 O 0.419 0.986 0.228
45 O 0.457 0.134 0.570
46 O 0.457 0.366 0.070
47 O 0.485 0.173 0.408
48 O 0.485 0.327 0.908
49 O 0.515 0.673 0.092
50 O 0.515 0.827 0.592
51 O 0.543 0.634 0.930
52 O 0.543 0.866 0.430
53 O 0.581 0.014 0.772
54 O 0.581 0.486 0.272
55 O 0.625 0.136 0.066
56 O 0.625 0.364 0.566
57 O 0.702 0.209 0.332
58 O 0.702 0.291 0.832
59 O 0.732 0.664 0.572
60 O 0.732 0.836 0.072
61 O 0.791 0.608 0.861
62 O 0.791 0.892 0.361
63 O 0.816 0.076 0.973
64 O 0.816 0.424 0.473
65 O 0.854 0.058 0.533
66 O 0.854 0.442 0.033
67 O 0.915 0.090 0.841
68 O 0.915 0.410 0.341
69 O 0.931 0.011 0.267
70 O 0.931 0.489 0.767
71 O 0.992 0.731 0.322
72 O 0.992 0.769 0.822

---

Record 3
Below is LiTi2P3O12 after structural relaxation, with properties calculated at the PBE-GGA level.

Properties
Calculated total energy ... -557.51 eV per cell
E above lowest polymorph ... 0.03 kcal/mol of atoms
ΔH_f (0 K) ... -3.0171 eV per atom

Cell: 8.709 8.649 12.007 Å, 90.00 90.00 90.00°
Atoms (fractional coordinates):
1 Li 0.229 0.034 0.000
2 Li 0.271 0.534 0.500
3 Li 0.729 0.466 0.000
4 Li 0.771 0.966 0.500
5 Ti 0.028 0.998 0.201
6 Ti 0.048 0.505 0.938
7 Ti 0.452 0.005 0.438
8 Ti 0.472 0.498 0.701
9 Ti 0.528 0.502 0.201
10 Ti 0.548 0.995 0.938
11 Ti 0.952 0.495 0.438
12 Ti 0.972 0.002 0.701
13 P 0.105 0.853 0.462
14 P 0.106 0.359 0.673
15 P 0.247 0.288 0.315
16 P 0.253 0.788 0.815
17 P 0.394 0.859 0.173
18 P 0.395 0.353 0.962
19 P 0.605 0.647 0.462
20 P 0.606 0.141 0.673
21 P 0.747 0.212 0.315
22 P 0.753 0.712 0.815
23 P 0.894 0.641 0.173
24 P 0.895 0.147 0.962
25 O 0.008 0.568 0.089
26 O 0.015 0.072 0.040
27 O 0.065 0.907 0.343
28 O 0.068 0.411 0.792
29 O 0.091 0.181 0.663
30 O 0.098 0.676 0.473
31 O 0.146 0.187 0.241
32 O 0.150 0.688 0.893
33 O 0.151 0.890 0.741
34 O 0.155 0.397 0.393
35 O 0.229 0.910 0.141
36 O 0.230 0.404 0.990
37 O 0.270 0.904 0.490
38 O 0.271 0.410 0.641
39 O 0.345 0.897 0.893
40 O 0.349 0.390 0.241
41 O 0.350 0.188 0.393
42 O 0.354 0.687 0.741
43 O 0.402 0.176 0.973
44 O 0.409 0.681 0.163
45 O 0.432 0.911 0.292
46 O 0.435 0.407 0.843
47 O 0.485 0.572 0.540
48 O 0.492 0.068 0.589
49 O 0.508 0.932 0.089
50 O 0.515 0.428 0.040
51 O 0.565 0.593 0.343
52 O 0.568 0.089 0.792
53 O 0.591 0.319 0.663
54 O 0.598 0.824 0.473
55 O 0.646 0.313 0.241
56 O 0.650 0.812 0.893
57 O 0.651 0.610 0.741
58 O 0.655 0.103 0.393
59 O 0.729 0.590 0.141
60 O 0.730 0.096 0.990
61 O 0.770 0.596 0.490
62 O 0.771 0.090 0.641
63 O 0.845 0.603 0.893
64 O 0.849 0.110 0.241
65 O 0.850 0.312 0.393
66 O 0.854 0.813 0.741
67 O 0.902 0.324 0.973
68 O 0.909 0.819 0.163
69 O 0.932 0.589 0.292
70 O 0.935 0.093 0.843
71 O 0.985 0.928 0.540
72 O 0.992 0.432 0.589

---

Record 4
Below is Li6Ti3P8O29 after structural relaxation, with properties calculated at the PBE-GGA level.

Properties
Calculated total energy ... -667.87 eV per cell
ΔH_f (0 K) ... -2.8678 eV per atom

Cell: 9.840 9.843 13.896 Å, 89.58 89.66 60.28°
Atoms (fractional coordinates):
1 Li 0.000 0.000 0.000
2 Li 0.002 0.570 0.498
3 Li 0.100 0.233 0.560
4 Li 0.114 0.265 0.063
5 Li 0.188 0.910 0.623
6 Li 0.336 0.898 0.120
7 Li 0.428 0.562 0.446
8 Li 0.435 0.140 0.997
9 Li 0.437 0.999 0.502
10 Li 0.761 0.334 0.122
11 Li 0.772 0.467 0.623
12 Li 0.865 0.570 0.999
13 Ti 0.096 0.795 0.810
14 Ti 0.103 0.663 0.305
15 Ti 0.534 0.238 0.804
16 Ti 0.535 0.801 0.309
17 Ti 0.663 0.671 0.812
18 Ti 0.668 0.227 0.314
19 P 0.013 0.543 0.713
20 P 0.016 0.008 0.220
21 P 0.184 0.452 0.900
22 P 0.190 0.918 0.407
23 P 0.319 0.319 0.401
24 P 0.323 0.920 0.903
25 P 0.408 0.151 0.213
26 P 0.412 0.009 0.719
27 P 0.432 0.571 0.688
28 P 0.437 0.567 0.187
29 P 0.763 0.903 0.933
30 P 0.769 0.894 0.433
31 P 0.782 0.458 0.403
32 P 0.787 0.318 0.906
33 P 0.874 0.545 0.218
34 P 0.879 0.151 0.719
35 O 0.011 0.699 0.730
36 O 0.012 0.855 0.234
37 O 0.015 0.571 0.221
38 O 0.016 0.980 0.719
39 O 0.086 0.463 0.620
40 O 0.088 0.443 0.982
41 O 0.102 0.026 0.314
42 O 0.105 0.007 0.131
43 O 0.109 0.430 0.801
44 O 0.110 0.005 0.497
45 O 0.179 0.611 0.890
46 O 0.180 0.488 0.403
47 O 0.181 0.895 0.903
48 O 0.202 0.757 0.393
49 O 0.286 0.723 0.726
50 O 0.293 0.564 0.236
51 O 0.296 0.248 0.302
52 O 0.301 0.028 0.810
53 O 0.314 0.220 0.482
54 O 0.324 0.224 0.121
55 O 0.325 0.007 0.629
56 O 0.326 0.008 0.992
57 O 0.353 0.316 0.901
58 O 0.358 0.896 0.402
59 O 0.429 0.428 0.732
60 O 0.429 0.720 0.229
61 O 0.434 0.982 0.221
62 O 0.435 0.573 0.579
63 O 0.436 0.574 0.080
64 O 0.440 0.148 0.722
65 O 0.471 0.329 0.392
66 O 0.476 0.765 0.889
67 O 0.562 0.152 0.230
68 O 0.566 0.854 0.733
69 O 0.585 0.565 0.726
70 O 0.588 0.421 0.228
71 O 0.613 0.047 0.892
72 O 0.618 0.897 0.391
73 O 0.621 0.607 0.391
74 O 0.633 0.319 0.890
75 O 0.720 0.699 0.231
76 O 0.722 0.153 0.728
77 O 0.757 0.317 0.401
78 O 0.762 0.486 0.903
79 O 0.762 0.893 0.540
80 O 0.766 0.041 0.386
81 O 0.767 0.900 0.041
82 O 0.772 0.748 0.892
83 O 0.844 0.570 0.723
84 O 0.849 0.151 0.221
85 O 0.869 0.463 0.491
86 O 0.872 0.233 0.997
87 O 0.875 0.456 0.129
88 O 0.891 0.244 0.637
89 O 0.891 0.438 0.311
90 O 0.902 0.225 0.817
91 O 0.910 0.909 0.890
92 O 0.917 0.745 0.393

---

Record 5
Below is Li7Ti2P7O24 after structural relaxation, with properties calculated at the PBE-GGA level.

Properties
Calculated total energy ... -557.46 eV per cell
ΔH_f (0 K) ... -2.7355 eV per atom

Cell: 15.285 5.172 11.756 Å, 90.00 97.37 90.00°
Atoms (fractional coordinates):
1 Li 0.000 0.209 0.250
2 Li 0.000 0.791 0.750
3 Li 0.089 0.349 0.949
4 Li 0.089 0.651 0.449
5 Li 0.362 0.318 0.111
6 Li 0.362 0.682 0.611
7 Li 0.442 0.224 0.482
8 Li 0.442 0.776 0.982
9 Li 0.558 0.224 0.018
10 Li 0.558 0.776 0.518
11 Li 0.638 0.318 0.389
12 Li 0.638 0.682 0.889
13 Li 0.911 0.349 0.551
14 Li 0.911 0.651 0.051
15 Ti 0.222 0.146 0.312
16 Ti 0.222 0.854 0.812
17 Ti 0.778 0.146 0.188
18 Ti 0.778 0.854 0.688
19 P 0.107 0.344 0.698
20 P 0.107 0.656 0.198
21 P 0.224 0.116 0.550
22 P 0.224 0.884 0.050
23 P 0.362 0.374 0.845
24 P 0.362 0.626 0.345
25 P 0.500 0.073 0.750
26 P 0.500 0.927 0.250
27 P 0.638 0.374 0.655
28 P 0.638 0.626 0.155
29 P 0.776 0.116 0.950
30 P 0.776 0.884 0.450
31 P 0.893 0.344 0.802
32 P 0.893 0.656 0.302
33 O 0.026 0.450 0.625
34 O 0.026 0.550 0.125
35 O 0.103 0.058 0.733
36 O 0.103 0.942 0.233
37 O 0.138 0.475 0.300
38 O 0.138 0.525 0.800
39 O 0.152 0.027 0.453
40 O 0.152 0.973 0.953
41 O 0.185 0.359 0.615
42 O 0.185 0.641 0.115
43 O 0.252 0.097 0.137
44 O 0.252 0.903 0.637
45 O 0.290 0.180 0.851
46 O 0.290 0.820 0.351
47 O 0.299 0.238 0.494
48 O 0.299 0.762 0.994
49 O 0.330 0.368 0.288
50 O 0.330 0.632 0.788
51 O 0.419 0.273 0.744
52 O 0.419 0.727 0.244
53 O 0.423 0.398 0.956
54 O 0.423 0.602 0.456
55 O 0.486 0.071 0.138
56 O 0.486 0.929 0.638
57 O 0.514 0.071 0.362
58 O 0.514 0.929 0.862
59 O 0.577 0.398 0.544
60 O 0.577 0.602 0.044
61 O 0.581 0.273 0.756
62 O 0.581 0.727 0.256
63 O 0.670 0.368 0.212
64 O 0.670 0.632 0.712
65 O 0.701 0.238 0.006
66 O 0.701 0.762 0.506
67 O 0.710 0.180 0.649
68 O 0.710 0.820 0.149
69 O 0.748 0.097 0.363
70 O 0.748 0.903 0.863
71 O 0.815 0.359 0.885
72 O 0.815 0.641 0.385
73 O 0.848 0.027 0.047
74 O 0.848 0.973 0.547
75 O 0.862 0.475 0.200
76 O 0.862 0.525 0.700
77 O 0.897 0.058 0.767
78 O 0.897 0.942 0.267
79 O 0.974 0.450 0.875
80 O 0.974 0.550 0.375

---

Record 6
Below is LiTiP2O7 after structural relaxation, with properties calculated at the PBE-GGA level.

Properties
Calculated total energy ... -326.84 eV per cell
E above lowest polymorph ... 0.51 kcal/mol of atoms
ΔH_f (0 K) ... -2.8410 eV per atom

Cell: 6.377 6.389 13.201 Å, 101.59 101.16 100.28°
Atoms (fractional coordinates):
1 Li 0.000 0.000 0.000
2 Li 0.059 0.214 0.756
3 Li 0.264 0.773 0.505
4 Li 0.789 0.457 0.255
5 Ti 0.154 0.871 0.235
6 Ti 0.433 0.376 0.021
7 Ti 0.620 0.844 0.735
8 Ti 0.903 0.346 0.524
9 P 0.119 0.729 0.744
10 P 0.275 0.383 0.245
11 P 0.360 0.265 0.453
12 P 0.447 0.851 0.952
13 P 0.609 0.371 0.805
14 P 0.697 0.958 0.305
15 P 0.785 0.838 0.513
16 P 0.935 0.490 0.011
17 O 0.008 0.490 0.687
18 O 0.047 0.727 0.072
19 O 0.091 0.340 0.987
20 O 0.118 0.158 0.196
21 O 0.146 0.562 0.266
22 O 0.214 0.398 0.505
23 O 0.240 0.704 0.859
24 O 0.247 0.023 0.402
25 O 0.292 0.835 0.692
26 O 0.363 0.047 0.004
27 O 0.416 0.302 0.854
28 O 0.418 0.382 0.360
29 O 0.453 0.432 0.185
30 O 0.470 0.931 0.233
31 O 0.492 0.696 0.024
32 O 0.561 0.526 0.733
33 O 0.586 0.291 0.525
34 O 0.602 0.788 0.572
35 O 0.639 0.918 0.902
36 O 0.645 0.843 0.398
37 O 0.695 0.175 0.753
38 O 0.760 0.382 0.060
39 O 0.811 0.199 0.355
40 O 0.815 0.524 0.898
41 O 0.840 0.821 0.251
42 O 0.912 0.658 0.492
43 O 0.942 0.061 0.565
44 O 0.962 0.880 0.766